(1)
Ag3Ge | the Materials Project | GGA-PBE | optimized geometry; magnetization = 0.00 μB/f.u.; crystal system = hexagonal; VASP energy = -12.786 eV for the cell shown
1.0
2.989 0.000 0.000
-1.494 2.589 0.000
0.000 0.000 9.488
Ag Ge
3 1
Direct
0.000 0.000 0.000
0.333 0.667 0.251
0.333 0.667 0.749
0.000 0.000 0.500

=====

(2)
Li3Cu3P2O8 | the Materials Project | GGA-PBE | optimized geometry; magnetization = 0.00 μB/f.u.; crystal system = triclinic; corrected total energy (MP2020 scheme) = -6.34 eV per atom
1.0
5.116 0.000 0.000
-0.031 5.406 0.000
-0.008 -0.016 6.243
Li Cu P O
3 3 2 8
Direct
0.000 0.000 0.000
0.001 0.481 0.746
0.503 0.653 0.498
0.000 0.990 0.485
0.501 0.143 0.246
0.512 0.658 0.997
0.005 0.506 0.246
0.506 0.157 0.746
0.308 0.515 0.258
0.386 0.025 0.948
0.396 0.425 0.734
0.413 0.005 0.546
0.809 0.157 0.757
0.889 0.625 0.455
0.911 0.231 0.234
0.914 0.644 0.040

=====

(3)
BaTeS4O8 | the Materials Project | GGA-PBE | optimized geometry; magnetization = 2.00 μB/f.u.; crystal system = monoclinic; corrected total energy (MP2020 scheme) = -5.75 eV per atom
1.0
11.373 -5.448 0.000
11.373 5.448 0.000
-0.180 0.000 5.027
Ba Te S O
2 2 8 16
Direct
0.216 0.216 0.158
0.784 0.784 0.842
0.372 0.372 0.763
0.628 0.628 0.237
0.086 0.595 0.340
0.254 0.583 0.488
0.405 0.914 0.660
0.417 0.746 0.512
0.583 0.254 0.488
0.595 0.086 0.340
0.746 0.417 0.512
0.914 0.405 0.660
0.004 0.721 0.191
0.021 0.599 0.578
0.086 0.086 0.256
0.147 0.473 0.172
0.279 0.996 0.809
0.293 0.293 0.664
0.401 0.979 0.422
0.473 0.147 0.172
0.527 0.853 0.828
0.599 0.021 0.578
0.707 0.707 0.336
0.721 0.004 0.191
0.853 0.527 0.828
0.914 0.914 0.744
0.979 0.401 0.422
0.996 0.279 0.809

=====

Question: Which of these has the highest magnetization?
Answer: BaTeS4O8

=====

Question: What is the formula in the third record?
Answer: BaTeS4O8

=====

Question: Number 3 is which compound?
Answer: BaTeS4O8